Entry 1:
Below is a relaxed MgCo4Ni2O12 crystal, with properties calculated at the GGA+U level.

Relative energy among the computed polymorphs: 0.006 eV/atom
Crystal system: triclinic
Formation energy: -22.26 eV/f.u.
Calculated density: 4.58 Mg/m³

Lattice parameters (Å, degrees): 4.9024 4.9041 9.9311 93.70 94.39 119.19
Space group P1 (No. 1)
One atom of each set of equivalent atoms:
1 Mg 0.0000 0.0000 0.0000 x1
2 Co 0.0582 0.7204 0.2519 x1
3 Co 0.2437 0.5729 0.7424 x1
4 Co 0.5928 0.2467 0.7483 x1
5 Co 0.7270 0.0511 0.2521 x1
6 Ni 0.3955 0.3886 0.2521 x1
7 Ni 0.9152 0.9097 0.7359 x1
8 O 0.0300 0.3482 0.1493 x1
9 O 0.0598 0.0509 0.3507 x1
10 O 0.2363 0.8875 0.6500 x1
11 O 0.2660 0.2579 0.8451 x1
12 O 0.3528 0.0243 0.1488 x1
13 O 0.4232 0.7514 0.3443 x1
14 O 0.5533 0.5469 0.6492 x1
15 O 0.6492 0.9542 0.8506 x1
16 O 0.7265 0.7215 0.1406 x1
17 O 0.7596 0.4147 0.3442 x1
18 O 0.8759 0.2062 0.6417 x1
19 O 0.9527 0.6250 0.8471 x1


Entry 2:
Below is a relaxed MgCo2NiO6 crystal, with properties calculated at the GGA+U level.

Relative energy among the computed polymorphs: 0.120 eV/atom
Crystal system: triclinic
Formation energy: -13.32 eV/f.u.
Calculated density: 4.54 Mg/m³

Lattice parameters (Å, degrees): 2.9008 5.9318 6.6081 77.73 78.06 88.54
Space group P1 (No. 1)
One atom of each set of equivalent atoms:
1 Mg 0.0000 0.0000 0.0000 x1
2 Co 0.3175 0.1850 0.3452 x1
3 Co 0.6962 0.8119 0.6500 x1
4 Ni 0.0014 0.5035 0.9990 x1
5 O 0.1589 0.6118 0.6625 x1
6 O 0.1876 0.0369 0.6560 x1
7 O 0.4898 0.2465 0.0277 x1
8 O 0.5121 0.7586 0.9719 x1
9 O 0.7932 0.9623 0.3338 x1
10 O 0.8785 0.3895 0.3345 x1


Entry 3:
Below is a relaxed MgCoNiP2O9 crystal, with properties calculated at the GGA+U level.

Crystal system: monoclinic
Formation energy: -30.62 eV/f.u.
Calculated density: 3.61 Mg/m³

Lattice parameters (Å, degrees): 7.2294 6.2327 14.2258 90.00 91.21 90.00
Space group P2_1/m (No. 11)
One atom of each set of equivalent atoms:
1 Mg 0.1090 0.2500 0.2769 x2
2 Mg 0.3552 0.2500 0.7704 x2
3 Co 0.1470 0.7500 0.1227 x2
4 Co 0.3507 0.7500 0.6199 x2
5 Ni 0.0000 0.0000 0.5000 x2
6 Ni 0.5000 0.0000 0.0000 x2
7 P 0.1066 0.7500 0.3049 x2
8 P 0.1362 0.2500 0.0711 x2
9 P 0.3593 0.2500 0.5660 x2
10 P 0.3831 0.7500 0.8021 x2
11 O 0.0239 0.7500 0.9987 x2
12 O 0.0604 0.2500 0.7681 x2
13 O 0.1046 0.5374 0.3619 x4
14 O 0.1278 0.0606 0.1426 x4
15 O 0.1490 0.7500 0.5528 x2
16 O 0.1656 0.2500 0.5182 x2
17 O 0.1998 0.7500 0.7415 x2
18 O 0.2858 0.7500 0.2442 x2
19 O 0.3231 0.2500 0.0209 x2
20 O 0.3567 0.7500 0.0475 x2
21 O 0.3717 0.0620 0.6380 x4
22 O 0.3961 0.5376 0.8584 x4
23 O 0.4626 0.2500 0.2756 x2
24 O 0.4964 0.7500 0.5078 x2


Entry 4:
Below is a relaxed MgCo2O4 crystal, with properties calculated at the GGA+U level.

Relative energy among the computed polymorphs: 0.081 eV/atom
Crystal system: monoclinic
Formation energy: -12.36 eV/f.u.
Calculated density: 4.90 Mg/m³

Lattice parameters (Å, degrees): 10.1055 5.8196 14.2455 90.00 90.31 90.00
Space group Cm (No. 8)
One atom of each set of equivalent atoms:
1 Mg 0.0000 0.0000 0.0000 x2
2 Mg 0.0007 0.5000 0.4970 x2
3 Mg 0.1672 0.0000 0.8318 x2
4 Mg 0.3250 0.0000 0.2905 x2
5 Mg 0.3299 0.5000 0.1655 x2
6 Mg 0.3343 0.0000 0.6647 x2
7 Co 0.0034 0.0000 0.3722 x2
8 Co 0.0827 0.2494 0.1651 x4
9 Co 0.1610 0.5000 0.9524 x2
10 Co 0.1652 0.5000 0.3290 x2
11 Co 0.1713 0.5000 0.7088 x2
12 Co 0.2500 0.2526 0.4974 x4
13 Co 0.3397 0.0000 0.0429 x2
14 Co 0.4164 0.2437 0.8321 x4
15 Co 0.4951 0.5000 0.6207 x2
16 O 0.0100 0.0000 0.2396 x2
17 O 0.0159 0.5000 0.2435 x2
18 O 0.0717 0.2469 0.9099 x4
19 O 0.0971 0.2608 0.4131 x4
20 O 0.1554 0.5000 0.0879 x2
21 O 0.1607 0.0000 0.0910 x2
22 O 0.1736 0.0000 0.5726 x2
23 O 0.1740 0.5000 0.5730 x2
24 O 0.2331 0.2728 0.2461 x4
25 O 0.2604 0.2487 0.7532 x4
26 O 0.3184 0.5000 0.4160 x2
27 O 0.3254 0.0000 0.4282 x2
28 O 0.3414 0.5000 0.9066 x2
29 O 0.3429 0.0000 0.9069 x2
30 O 0.4066 0.2480 0.5751 x4
31 O 0.4256 0.2526 0.0889 x4
32 O 0.4914 0.5000 0.7554 x2
33 O 0.4927 0.0000 0.7572 x2


Entry 5:
Below is a relaxed MgCo2O4 crystal, with properties calculated at the GGA+U level.

Relative energy among the computed polymorphs: 0.214 eV/atom
Crystal system: orthorhombic
Formation energy: -11.43 eV/f.u.
Calculated density: 5.02 Mg/m³

Lattice parameters (Å, degrees): 2.9210 9.6871 9.6418 90.00 90.00 90.00
Space group Cmcm (No. 63)
One atom of each set of equivalent atoms:
1 Mg 0.0000 0.1122 0.2500 x4
2 Co 0.0000 0.3668 0.0721 x8
3 O 0.0000 0.0000 0.0000 x4
4 O 0.0000 0.2760 0.6139 x8
5 O 0.0000 0.4579 0.2500 x4


Entry 6:
Below is a relaxed MgCo4O8 crystal, with properties calculated at the GGA+U level.

Relative energy among the computed polymorphs: 0.018 eV/atom
Crystal system: trigonal
Formation energy: -18.29 eV/f.u.
Calculated density: 4.67 Mg/m³

Lattice parameters (Å, degrees): 5.7230 5.7230 14.5959 90.00 90.00 120.00
Space group R3m (No. 160, hexagonal axes)
One atom of each set of equivalent atoms:
1 Mg 0.0000 0.0000 0.0000 x3
2 Co 0.0000 0.0000 0.3758 x3
3 Co 0.0065 0.5032 0.5007 x9
4 O 0.0000 0.0000 0.2383 x3
5 O 0.0000 0.0000 0.7654 x3
6 O 0.0280 0.5140 0.7610 x9
7 O 0.1829 0.3658 0.5670 x9


Entry 7:
Below is a relaxed MgCo2O4 crystal, with properties calculated at the GGA+U level.

Relative energy among the computed polymorphs: 0.074 eV/atom
Crystal system: monoclinic
Formation energy: -12.41 eV/f.u.
Calculated density: 4.95 Mg/m³

Lattice parameters (Å, degrees): 10.0768 5.8023 19.2623 90.00 100.47 90.00
Space group Cm (No. 8)
One atom of each set of equivalent atoms:
1 Mg 0.0000 0.0000 0.0000 x2
2 Mg 0.0013 0.5000 0.5004 x2
3 Mg 0.1249 0.0000 0.8741 x2
4 Mg 0.2262 0.5000 0.6569 x2
5 Mg 0.2495 0.5000 0.2506 x2
6 Mg 0.2523 0.0000 0.7500 x2
7 Mg 0.3750 0.5000 0.1258 x2
8 Mg 0.4751 0.5000 0.4051 x2
9 Co 0.0002 0.2502 0.2508 x4
10 Co 0.9998 0.2535 0.7497 x4
11 Co 0.0248 0.5000 0.0920 x2
12 Co 0.0260 0.0000 0.5952 x2
13 Co 0.1262 0.5000 0.3773 x2
14 Co 0.2242 0.0000 0.1575 x2
15 Co 0.2484 0.2526 0.5000 x4
16 Co 0.2502 0.2502 0.0002 x4
17 Co 0.2756 0.0000 0.3444 x2
18 Co 0.2757 0.5000 0.8419 x2
19 Co 0.3753 0.0000 0.6263 x2
20 Co 0.4755 0.0000 0.9090 x2
21 O 0.0466 0.5000 0.6909 x2
22 O 0.0541 0.0000 0.6947 x2
23 O 0.0575 0.5000 0.1941 x2
24 O 0.0590 0.0000 0.1947 x2
25 O 0.0748 0.2410 0.9415 x4
26 O 0.0782 0.2727 0.4393 x4
27 O 0.1743 0.2651 0.3138 x4
28 O 0.1769 0.2427 0.8079 x4
29 O 0.1928 0.5000 0.0565 x2
30 O 0.1938 0.5000 0.5536 x2
31 O 0.1948 0.0000 0.0567 x2
32 O 0.1994 0.0000 0.5603 x2
33 O 0.2972 0.5000 0.4412 x2
34 O 0.3058 0.0000 0.4442 x2
35 O 0.3056 0.5000 0.9439 x2
36 O 0.3073 0.0000 0.9441 x2
37 O 0.3246 0.2556 0.1923 x4
38 O 0.3289 0.2249 0.6887 x4
39 O 0.4243 0.2350 0.5626 x4
40 O 0.4261 0.2590 0.0591 x4
41 O 0.4411 0.5000 0.8056 x2
42 O 0.4417 0.5000 0.3023 x2
43 O 0.4456 0.0000 0.8077 x2
44 O 0.4503 0.0000 0.3110 x2


Entry 8:
Below is a relaxed MgCo4O8 crystal, with properties calculated at the GGA+U level.

Relative energy among the computed polymorphs: 0.022 eV/atom
Crystal system: monoclinic
Formation energy: -18.23 eV/f.u.
Calculated density: 4.57 Mg/m³

Lattice parameters (Å, degrees): 9.9836 5.8035 5.9113 90.00 124.57 90.00
Space group C2/m (No. 12)
One atom of each set of equivalent atoms:
1 Mg 0.0000 0.0000 0.0000 x2
2 Co 0.0000 0.5000 0.0000 x2
3 Co 0.0000 0.5000 0.5000 x2
4 Co 0.2500 0.2500 0.0000 x4
5 O 0.0213 0.2684 0.7956 x8
6 O 0.2314 0.5000 0.1955 x4
7 O 0.2478 0.0000 0.2023 x4


calculated density of number 5 (MgCo2O4)?
5.02 Mg/m³


The highest calculated density belongs to which entry?
number 5


Which of these has the lowest formation energy?
MgCoNiP2O9


Among the records above, which one has the lowest calculated density?
MgCoNiP2O9